## a
A plane-wave DFT calculation with PBE was carried out for a relaxed structure of Bi7O6F9.

Structure (extended XYZ):
```
88
Lattice="-9.209 2.956 -17.825 4.344 -5.835 18.930 -4.896 9.874 4.167" Properties=species:S:1:pos:R:3 pbc="T T T"
Bi -3.565 3.497 0.607
F -1.538 2.279 1.108
O -0.482 -2.652 5.917
F -2.525 0.902 3.969
O -4.822 -2.853 1.096
F -3.975 0.848 1.664
O -2.392 -1.415 0.544
F -9.042 3.541 -12.065
F 0.310 -3.209 8.542
F -10.242 10.103 -3.231
F -0.579 0.334 8.763
Bi 0.012 0.746 11.119
F -9.150 5.531 1.875
O -4.837 3.524 2.626
Bi -4.601 -0.760 -0.029
F -3.841 3.580 -3.436
O -1.583 -2.073 3.247
O 0.793 -0.264 18.413
O -4.015 2.846 5.341
F -5.911 1.411 -3.191
O -9.259 9.660 -0.650
O -6.749 4.665 -2.696
F -1.853 2.783 17.595
Bi -7.816 9.822 -2.560
O -7.833 5.240 -5.329
O 2.367 -4.447 13.691
F -8.225 6.361 -1.127
F -7.207 3.937 6.419
F 0.852 -0.686 12.970
F -7.703 7.537 -3.827
F -5.001 5.834 6.060
O -11.204 10.776 -5.749
F -10.051 7.060 -5.591
Bi -5.321 2.744 7.295
F -3.131 5.247 10.889
Bi -1.204 0.057 2.009
O -9.648 6.562 -10.427
O -2.964 2.360 7.958
F -9.316 8.449 -7.993
O -0.093 0.445 15.694
F -5.193 4.790 8.769
Bi -5.483 4.735 -4.602
F -6.796 3.600 -10.091
Bi -4.340 7.111 7.978
F -7.589 2.114 -7.637
Bi -7.215 2.609 -1.392
O -10.750 7.144 -13.096
F -4.070 1.570 -0.944
Bi -5.570 5.124 11.035
Bi -7.491 6.376 5.832
F -1.186 1.111 13.207
Bi -5.750 6.094 -1.091
F -6.416 5.775 3.751
F -4.739 -0.978 4.336
Bi -8.806 5.473 -3.235
Bi -6.525 0.491 -5.233
O -2.087 1.661 10.637
O 1.284 -3.875 11.057
O -5.938 4.036 -0.026
Bi -2.985 0.322 8.969
Bi -9.618 7.549 0.683
F -6.499 6.530 1.136
Bi -7.043 4.177 2.044
O 3.244 -5.211 16.305
F -8.746 5.783 -7.895
O -7.273 2.082 3.180
O -8.374 8.952 2.070
Bi -5.038 1.446 3.755
F -3.987 7.223 3.202
F -2.671 -0.036 6.657
Bi 0.890 -1.149 7.188
F -1.412 -1.072 11.250
Bi -2.849 -2.155 5.205
F -5.333 2.516 -5.911
Bi -1.746 3.758 9.299
Bi -1.852 2.179 5.873
F -6.729 0.588 -0.198
Bi -2.424 5.675 13.234
F -3.874 3.874 13.297
Bi -3.662 4.998 4.090
F -2.398 5.499 7.908
F -1.486 4.271 15.027
Bi -3.331 1.121 -3.180
Bi -7.866 7.378 -6.280
Bi -5.430 2.448 -8.395
O -12.079 11.471 -8.430
Bi -6.013 8.444 2.685
O -13.197 12.093 -10.989
```

## Properties
space group	Aea2
magnetic moment	0.0	μB/f.u.
calculated density	8.43	Mg/m³

---

## b
A plane-wave DFT calculation with PBE was carried out for a relaxed structure of Bi7O6F9.

Structure (extended XYZ):
```
44
Lattice="17.820 9.801 -5.347 -19.316 -8.312 -0.112 -2.181 5.042 1.972" Properties=species:S:1:pos:R:3 pbc="T T T"
F -6.336 -0.688 -3.830
O 14.029 10.980 -3.792
F 8.545 5.573 -2.933
Bi -4.768 0.022 -0.023
Bi -8.396 0.855 0.735
F 6.192 7.380 -2.706
F 8.584 8.546 -3.044
O -1.098 2.529 0.957
O -1.470 1.464 -5.367
F -2.640 -0.779 -0.095
F -14.137 -0.127 -0.220
Bi -6.357 2.711 -1.992
Bi 2.044 4.454 -3.818
Bi -2.756 1.870 -3.468
Bi 7.685 6.862 -4.578
F 6.060 5.163 -4.311
Bi 3.709 7.868 -3.806
F 4.162 3.323 -2.475
O -0.722 0.719 -2.637
F 1.392 2.297 -3.498
F -10.176 1.805 -0.779
Bi -1.681 5.417 -2.795
F -9.814 -0.904 -0.580
Bi -11.937 0.241 -1.007
Bi 5.358 5.040 -1.892
F 10.021 7.095 -4.869
F 0.170 6.108 1.013
O 3.520 6.045 -2.541
F -7.411 2.782 0.548
O -14.951 -3.235 -0.011
O -1.846 3.273 -1.772
Bi -3.088 3.622 0.238
Bi -8.243 -0.484 -2.809
O 0.923 4.588 -1.945
Bi 1.951 5.654 -0.328
Bi 0.146 2.177 -1.042
O 11.233 9.807 -3.628
F 1.591 8.282 -3.556
F -5.358 4.521 -1.043
F -11.733 0.470 1.231
F -12.206 -2.070 -0.243
O -4.507 1.850 -1.204
O -17.613 -4.542 0.644
O -7.239 0.527 -1.099
```

## Properties
space group	Aem2
magnetic moment	0.0	μB/f.u.
calculated density	8.08	Mg/m³

---

Which of them is the most stable, and which is the least stable? a and b, in that order.

---

## a
A plane-wave DFT calculation with PBE was carried out for a relaxed structure of ZnBi6P2O14F2.

Structure (extended XYZ):
```
50
Lattice="4.950 -3.960 6.261 8.354 -2.288 2.087 6.717 11.622 10.132" Properties=species:S:1:pos:R:3 pbc="T T T"
O 9.270 0.243 5.555
P 11.931 1.706 10.475
O 10.751 5.132 12.924
O 11.175 8.085 13.796
Bi 13.056 6.156 12.996
Bi 2.626 1.299 2.727
O 11.399 -0.874 6.973
O 10.913 2.466 11.333
P 8.090 3.668 8.005
Bi 13.978 -1.764 10.758
O 8.622 6.248 11.507
Bi 5.005 2.702 4.949
O 12.002 2.136 9.015
O 8.078 5.189 7.854
O 12.444 5.963 10.848
O 5.318 0.520 6.377
O 13.905 7.233 15.865
O 8.019 3.238 9.465
O 7.577 -0.589 7.632
O 9.708 -1.760 9.044
Bi 6.965 -0.782 5.484
Bi 6.043 7.138 7.721
Zn 0.000 0.000 0.000
O 14.702 4.854 12.103
F 13.343 2.186 11.127
F 9.421 -3.901 6.752
F 6.678 3.188 7.353
O 6.116 -1.859 2.615
Bi 15.016 2.673 13.531
O 11.943 0.185 10.626
Bi 17.395 4.076 15.753
Bi 11.849 -3.044 8.230
O 9.108 2.908 7.147
O 11.275 4.985 8.229
O 16.027 6.353 14.802
O 8.745 0.389 10.250
O 3.994 -0.979 3.678
O 10.313 7.134 9.436
O 7.027 1.302 4.279
Zn 3.358 5.811 5.066
Bi 8.172 8.419 10.250
O 8.846 -2.711 4.684
F 10.599 9.276 11.728
O 14.751 7.500 12.071
O 5.270 -2.126 6.409
Bi 10.428 5.080 10.422
P 15.345 7.544 15.474
O 12.994 4.072 14.201
Bi 9.593 0.294 8.058
P 4.676 -2.170 3.006
```

## Properties
space group	C2/c
magnetic moment	0.0	μB/f.u.
calculated density	7.29	Mg/m³

---

## b
A plane-wave DFT calculation with PBE was carried out for a relaxed structure of ZnBi6P2O14F2.

Structure (extended XYZ):
```
50
Lattice="2.139 -8.634 -1.138 4.053 -5.685 -5.628 15.889 -2.168 5.351" Properties=species:S:1:pos:R:3 pbc="T T T"
F 12.965 -11.268 -2.004
O 13.526 -7.310 3.211
Zn 0.000 0.000 0.000
Bi 6.612 -3.451 0.081
O 15.557 -14.545 -3.190
Bi 18.520 -14.863 -1.315
P 10.135 -6.353 0.032
F 9.117 -5.220 0.589
Bi 13.134 -8.020 1.119
Bi 11.214 -3.157 3.258
O 4.924 -7.812 -4.805
O 17.157 -8.676 3.390
O 6.768 -4.398 -2.248
Bi 3.561 -1.625 -0.099
O 11.464 -6.036 0.733
Bi 5.606 -6.296 -2.531
O 7.470 -13.680 -5.531
O 8.555 -9.178 -4.625
O 7.632 -10.717 -2.351
O 9.483 -7.672 0.439
O 6.683 -8.295 -1.142
Bi 10.867 -13.331 -4.673
P 18.018 -7.532 2.852
O 6.524 -1.943 1.775
O 15.398 -8.192 -0.273
Zn 7.944 -1.084 2.675
O 11.931 -10.340 0.069
O 18.662 -11.381 0.291
O 14.408 -9.717 2.048
O 12.598 -8.816 -1.854
F 17.130 -6.198 3.103
O 5.747 -5.855 0.039
O 10.617 -10.452 -2.148
Bi 16.476 -10.192 1.117
Bi 15.469 -13.037 -1.496
O 18.186 -7.588 1.336
O 16.334 -10.633 -1.454
O 10.150 -6.148 -1.483
Bi 8.947 -8.468 -2.533
Bi 7.774 -11.569 -4.756
P 11.946 -10.135 -1.447
O 3.419 -5.107 -1.706
O 15.313 -12.090 0.833
O 14.611 -2.808 4.117
O 14.450 -5.771 0.936
O 7.673 -6.771 -3.463
Bi 14.307 -4.919 3.341
F 4.951 -10.290 -4.518
O 3.895 -8.900 -2.751
P 4.063 -8.956 -4.267
```

## Properties
space group	C2/c
magnetic moment	0.0	μB/f.u.
calculated density	7.04	Mg/m³

---

Which of them is the most stable, and which is the least stable? b and a, in that order.

---

## a
A plane-wave DFT calculation with PBE was carried out for a relaxed structure of RbBiF3.

Structure (extended XYZ):
```
10
Lattice="-2.858 -0.129 -3.157 3.111 -0.865 -2.780 -1.686 -12.629 2.043" Properties=species:S:1:pos:R:3 pbc="T T T"
Rb 0.458 -8.649 -0.061
Bi -2.915 -11.195 0.222
Bi 1.355 -1.932 -1.148
F -0.350 -2.622 0.424
F 0.000 0.000 0.000
F -1.336 -10.007 1.619
F 0.126 -0.497 -2.969
Rb -2.018 -4.478 -0.865
F -0.224 -3.120 -2.544
F -1.209 -10.504 -1.350
```

## Properties
space group	P4/nmm
magnetic moment	0.0	μB/f.u.
calculated density	4.98	Mg/m³

---

## b
A plane-wave DFT calculation with PBE was carried out for a relaxed structure of RbBiF3.

Structure (extended XYZ):
```
10
Lattice="5.027 0.000 0.000 -0.595 5.127 0.000 -0.395 -1.000 8.606" Properties=species:S:1:pos:R:3 pbc="T T T"
F 3.664 2.071 4.623
F 1.574 3.659 5.343
Bi 2.422 1.869 6.450
Bi 3.526 4.084 8.598
F 4.380 0.707 6.818
Rb -0.141 -0.424 4.294
F -0.249 3.247 1.042
F 2.749 4.906 1.884
Rb 2.097 2.275 2.167
F 2.123 0.037 8.251
```

## Properties
space group	P1
magnetic moment	0.0	μB/f.u.
calculated density	5.26	Mg/m³

---

Which of them is the most stable, and which is the least stable? b and a, in that order.

---

## a
A plane-wave DFT calculation with PBE was carried out for a relaxed structure of ZnBiF5.

Structure (extended XYZ):
```
28
Lattice="10.776 0.000 0.000 0.000 5.569 0.000 0.000 2.753 8.133" Properties=species:S:1:pos:R:3 pbc="T T T"
F 6.762 5.985 5.538
Zn 10.696 4.914 6.318
Zn 5.468 3.538 2.251
Bi 2.610 6.143 3.185
F 9.664 4.747 8.044
Bi 8.166 2.179 4.948
F 6.188 5.236 1.689
F 4.014 2.337 2.595
F 0.800 1.709 2.378
F 9.608 3.877 4.967
F 4.220 5.821 7.233
Zn 0.080 3.407 1.815
F 6.556 2.500 0.901
F 1.374 3.713 6.662
F 2.023 6.413 5.405
F 9.402 4.608 1.472
F 1.168 4.445 3.166
Bi 7.998 0.803 0.882
F 4.276 4.951 4.156
F 4.588 3.085 6.445
F 9.976 6.613 5.755
Bi 2.778 7.519 7.252
F 6.500 3.370 3.977
F 7.411 3.285 6.795
F 8.753 1.909 2.728
F 1.112 3.575 0.089
F 3.365 5.036 1.339
Zn 5.308 4.784 5.882
```

## Properties
space group	P2_1/c
magnetic moment	0.0	μB/f.u.
calculated density	5.03	Mg/m³

---

## b
A plane-wave DFT calculation with PBE was carried out for a relaxed structure of ZnBiF5.

Structure (extended XYZ):
```
14
Lattice="-2.139 -5.390 -0.406 5.768 -0.455 0.588 -2.022 3.031 7.537" Properties=species:S:1:pos:R:3 pbc="T T T"
F 2.124 -1.388 5.892
F 2.060 -4.291 0.574
F -0.554 -1.414 1.762
F -0.810 -4.148 0.901
Bi 1.597 -2.819 7.700
F -1.395 -3.250 4.074
Zn 0.743 -3.463 1.857
F 2.988 0.466 3.642
F 1.945 -2.330 2.852
Bi 3.681 -1.618 4.133
F 2.401 1.301 6.810
F -0.380 -0.492 4.877
Zn 0.841 0.661 5.839
F -0.453 1.421 7.191
```

## Properties
space group	P1
magnetic moment	0.0	μB/f.u.
calculated density	5.00	Mg/m³

---

Which of them is the most stable, and which is the least stable? a and b, in that order.

---

## a
A plane-wave DFT calculation with PBE was carried out for a relaxed structure of Mg6FeBi.

Structure (extended XYZ):
```
16
Lattice="-0.668 2.743 4.133 0.276 -5.248 3.528 10.821 1.207 0.948" Properties=species:S:1:pos:R:3 pbc="T T T"
Mg 1.045 -3.913 2.766
Mg 6.448 -3.169 3.146
Fe 3.898 -2.205 2.093
Mg 9.608 1.225 3.771
Mg 3.614 0.403 0.317
Fe 9.170 1.023 0.804
Mg 9.163 -1.617 2.555
Mg 9.752 -1.527 5.621
Mg 4.335 -2.002 5.060
Mg 4.204 0.493 3.383
Bi 1.652 -1.046 3.992
Mg 1.489 1.575 2.226
Bi 6.925 2.181 2.702
Mg 7.038 -0.445 4.464
Mg 0.899 -1.149 0.908
Mg 6.317 -0.686 1.476
```

## Properties
magnetic moment	2.4	μB/f.u.
calculated density	3.94	Mg/m³

---

## b
A plane-wave DFT calculation with PBE was carried out for a relaxed structure of Mg6FeBi.

Structure (extended XYZ):
```
16
Lattice="4.911 0.000 0.000 0.000 6.398 0.000 0.000 0.000 10.845" Properties=species:S:1:pos:R:3 pbc="T T T"
Bi 2.456 3.199 9.033
Mg 0.000 3.199 7.151
Mg 2.456 4.820 6.338
Bi 2.456 0.000 3.610
Mg 0.000 4.958 9.907
Mg 0.000 4.639 4.485
Mg 2.456 4.777 0.915
Mg 0.000 3.199 1.915
Mg 0.000 1.440 9.907
Fe 2.456 0.000 9.056
Mg 0.000 0.000 1.729
Mg 0.000 1.759 4.485
Mg 0.000 0.000 7.338
Mg 2.456 1.578 6.338
Fe 2.456 3.199 3.634
Mg 2.456 1.621 0.915
```

## Properties
magnetic moment	2.3	μB/f.u.
calculated density	4.00	Mg/m³

---

Which of them is the most stable, and which is the least stable? a and b, in that order.